[1]
A plane-wave DFT calculation with r²SCAN was carried out for a relaxed SmAl2Si2 crystal.

Geometry as POSCAR:
```
SmAl2Si2
1.0
4.1912 0.0000 0.0000
-2.0956 3.6297 0.0000
0.0000 0.0000 6.7697
Sm Al Si
1 2 2
direct
0.0000 0.0000 0.0000
0.3333 0.6667 0.6403
0.6667 0.3333 0.3597
0.3333 0.6667 0.2670
0.6667 0.3333 0.7330
```

Its space group is P-3m1, No. 164. The total energy is -62.92 eV/cell. The size of the total moment comes out at 0.000 μB per atom.


[2]
A plane-wave DFT calculation with r²SCAN was carried out for a relaxed TbAl2Si2 crystal.

Geometry as POSCAR:
```
TbAl2Si2
1.0
4.1788 0.0000 0.0000
-2.0894 3.6189 0.0000
0.0000 0.0000 6.6218
Tb Al Si
1 2 2
direct
0.0000 0.0000 0.0000
0.3333 0.6667 0.6429
0.6667 0.3333 0.3571
0.3333 0.6667 0.2621
0.6667 0.3333 0.7379
```

Its space group is P-3m1, No. 164. The total energy is -64.36 eV/cell. The size of the total moment comes out at 0.000 μB per atom.


[3]
A plane-wave DFT calculation with r²SCAN was carried out for a relaxed AlSiTe3 crystal.

Geometry as POSCAR:
```
AlSiTe3
1.0
6.8893 0.0000 0.0000
-3.4447 5.9663 0.0000
0.0000 0.0000 7.4173
Al Si Te
2 2 6
direct
0.3333 0.6667 0.0000
0.6667 0.3333 0.0000
0.0000 0.0000 0.1538
0.0000 0.0000 0.8462
0.0000 0.3535 0.7612
0.0000 0.6465 0.2388
0.3535 0.0000 0.7612
0.3535 0.3535 0.2388
0.6465 0.0000 0.2388
0.6465 0.6465 0.7612
```

Its space group is P-31m, No. 162. The total energy is -186.84 eV/cell. The size of the total moment comes out at 0.000 μB per atom.


[4]
A plane-wave DFT calculation with r²SCAN was carried out for a relaxed Ti2AlSi3 crystal.

Geometry as POSCAR:
```
Ti2AlSi3
1.0
3.5890 0.0000 0.0000
0.0000 1.8082 6.7249
0.0000 -1.8082 6.7249
Ti Al Si
2 1 3
direct
0.0000 0.0000 0.0000
0.5000 0.1934 0.1934
0.5000 0.8476 0.8476
0.0000 0.3443 0.3443
0.0000 0.6575 0.6575
0.5000 0.5344 0.5344
```

Its space group is Amm2, No. 38. The total energy is -62.21 eV/cell. The size of the total moment comes out at 0.000 μB per atom.


For each record above, in turn, the calculated energy relative to the elements values are -209, -204, -160, -316 kJ/mol of formula units.